[1]
Below is a relaxed NaTiCuS3 crystal, with properties calculated at the r²SCAN level.

Properties
As for the formation energy: -1230 meV/atom. The calculation puts the final energy at -0.7207 Ry/atom.

a = 3.570 Å, b = 9.579 Å, c = 12.831 Å
α = 90.00°, β = 90.00°, γ = 90.00°
Element x y z (fractional)
Cu 0.250 0.595 0.488
S 0.250 0.739 0.865
S 0.250 0.566 0.095
S 0.750 0.434 0.905
S 0.750 0.066 0.405
Na 0.750 0.542 0.267
S 0.250 0.127 0.901
Ti 0.250 0.174 0.512
S 0.250 0.761 0.365
S 0.750 0.239 0.635
Cu 0.250 0.905 0.988
Ti 0.750 0.826 0.488
Na 0.250 0.042 0.233
S 0.750 0.873 0.099
S 0.250 0.934 0.595
Cu 0.750 0.095 0.012
S 0.250 0.373 0.401
Na 0.250 0.458 0.733
Cu 0.750 0.405 0.512
Ti 0.250 0.326 0.012
S 0.750 0.261 0.135
Na 0.750 0.958 0.767
S 0.750 0.627 0.599
Ti 0.750 0.674 0.988

***

[2]
Below is a relaxed Nb2CuS4 crystal, with properties calculated at the r²SCAN level.

Properties
As for the formation energy: -1047 meV/atom. The calculation puts the final energy at -1.0477 Ry/atom.

a = 3.393 Å, b = 3.393 Å, c = 12.799 Å
α = 90.00°, β = 90.00°, γ = 120.00°
Element x y z (fractional)
Nb 0.000 0.000 0.242
S 0.000 0.000 0.877
Cu 0.333 0.667 0.535
S 0.333 0.667 0.364
S 0.333 0.667 0.124
Nb 0.333 0.667 0.759
S 0.000 0.000 0.632